Run a
The following is a PBE-GGA calculation of NaCaGaSi2O7 after structural relaxation, from the Materials Project database.

Geometry as POSCAR:
```
NaCaGaSi2O7
1.0
7.786 0.000 0.000
0.000 7.794 0.000
0.000 0.000 10.238
Na Ca Ga Si O
4 4 4 8 28
Direct
0.081 0.164 0.245
0.419 0.836 0.745
0.581 0.336 0.755
0.919 0.664 0.255
0.098 0.160 0.741
0.402 0.840 0.241
0.598 0.340 0.259
0.902 0.660 0.759
0.247 0.500 0.000
0.253 0.500 0.500
0.747 0.000 0.000
0.753 0.000 0.500
0.104 0.858 0.473
0.113 0.859 0.975
0.387 0.141 0.475
0.396 0.142 0.973
0.604 0.642 0.527
0.613 0.641 0.025
0.887 0.359 0.525
0.896 0.358 0.027
0.070 0.414 0.597
0.074 0.413 0.103
0.090 0.858 0.630
0.124 0.851 0.131
0.159 0.677 0.898
0.167 0.679 0.401
0.249 0.004 0.914
0.251 0.996 0.414
0.333 0.321 0.901
0.341 0.323 0.398
0.376 0.149 0.631
0.410 0.142 0.130
0.426 0.587 0.603
0.430 0.586 0.097
0.570 0.086 0.403
0.574 0.087 0.897
0.590 0.642 0.370
0.624 0.649 0.869
0.659 0.823 0.102
0.667 0.821 0.599
0.749 0.496 0.086
0.751 0.504 0.586
0.833 0.179 0.099
0.841 0.177 0.602
0.876 0.351 0.369
0.910 0.358 0.870
0.926 0.913 0.397
0.930 0.914 0.903
```

Results
- SG = P2_12_12_1
- crystal system = orthorhombic
- mass density (g/cm³) = 3.22

***

Run b
The following is a PBE-GGA calculation of NaCaGaSi2O7 after structural relaxation, from the Materials Project database.

Geometry as POSCAR:
```
NaCaGaSi2O7
1.0
7.228 0.000 0.000
0.000 9.469 0.000
0.000 0.000 10.555
Na Ca Ga Si O
4 4 4 8 28
Direct
0.143 0.013 0.319
0.357 0.987 0.819
0.643 0.487 0.681
0.857 0.513 0.181
0.221 0.389 0.770
0.279 0.611 0.270
0.721 0.111 0.230
0.779 0.889 0.730
0.149 0.141 0.021
0.351 0.859 0.521
0.649 0.359 0.979
0.851 0.641 0.479
0.019 0.136 0.609
0.076 0.339 0.398
0.424 0.661 0.898
0.481 0.864 0.109
0.519 0.364 0.391
0.576 0.161 0.602
0.924 0.839 0.102
0.981 0.636 0.891
0.005 0.501 0.377
0.027 0.720 0.182
0.041 0.035 0.836
0.079 0.994 0.538
0.084 0.291 0.551
0.115 0.153 0.755
0.203 0.640 0.856
0.297 0.360 0.356
0.385 0.847 0.255
0.416 0.709 0.051
0.421 0.006 0.038
0.459 0.965 0.336
0.473 0.280 0.682
0.495 0.499 0.877
0.505 0.999 0.623
0.527 0.780 0.818
0.541 0.465 0.164
0.579 0.506 0.462
0.584 0.209 0.449
0.615 0.347 0.245
0.703 0.860 0.144
0.797 0.140 0.644
0.885 0.653 0.745
0.916 0.791 0.949
0.921 0.494 0.962
0.959 0.535 0.664
0.973 0.220 0.318
0.995 0.001 0.123
```

Results
- SG = P2_12_12_1
- crystal system = orthorhombic
- mass density (g/cm³) = 2.77

***

Run c
The following is a PBE-GGA calculation of NaCaGaSi2O7 after structural relaxation, from the Materials Project database.

Geometry as POSCAR:
```
NaCaGaSi2O7
1.0
7.265 0.000 0.000
0.000 9.574 0.000
0.000 0.000 10.823
Na Ca Ga Si O
4 4 4 8 28
Direct
0.142 0.016 0.339
0.358 0.984 0.839
0.642 0.484 0.661
0.858 0.516 0.161
0.178 0.392 0.751
0.322 0.608 0.251
0.678 0.108 0.249
0.822 0.892 0.749
0.212 0.142 0.054
0.288 0.858 0.554
0.712 0.358 0.946
0.788 0.642 0.446
0.010 0.336 0.395
0.047 0.640 0.891
0.453 0.360 0.391
0.490 0.664 0.895
0.510 0.164 0.605
0.547 0.860 0.109
0.953 0.140 0.609
0.990 0.836 0.105
0.007 0.293 0.546
0.018 0.994 0.553
0.039 0.048 0.830
0.044 0.175 0.750
0.062 0.702 0.180
0.092 0.982 0.131
0.230 0.371 0.362
0.270 0.629 0.862
0.408 0.018 0.631
0.438 0.298 0.680
0.456 0.825 0.250
0.461 0.952 0.330
0.482 0.006 0.053
0.493 0.707 0.046
0.507 0.207 0.454
0.518 0.506 0.447
0.539 0.452 0.170
0.544 0.325 0.250
0.562 0.798 0.820
0.592 0.518 0.869
0.730 0.129 0.638
0.770 0.871 0.138
0.908 0.482 0.369
0.938 0.202 0.320
0.956 0.675 0.750
0.961 0.548 0.670
0.982 0.494 0.947
0.993 0.793 0.954
```

Results
- SG = P2_12_12_1
- crystal system = orthorhombic
- mass density (g/cm³) = 2.66

***

Stability ranking, top entry: run a; the second entry is 60.5 kJ/mol of atoms less favorable.

***

Run a
The following is a PBE-GGA calculation of CaGa2O4 after structural relaxation, from the Materials Project database.

Geometry as POSCAR:
```
CaGa2O4
1.0
9.239 0.000 0.000
0.000 3.031 0.000
0.000 0.000 10.698
Ca Ga O
4 8 16
Direct
0.243 0.250 0.154
0.257 0.750 0.654
0.743 0.250 0.346
0.757 0.750 0.846
0.065 0.250 0.389
0.082 0.250 0.896
0.418 0.750 0.396
0.435 0.750 0.889
0.565 0.250 0.111
0.582 0.250 0.604
0.918 0.750 0.104
0.935 0.750 0.611
0.028 0.750 0.784
0.082 0.250 0.572
0.118 0.750 0.023
0.204 0.750 0.338
0.296 0.250 0.838
0.382 0.250 0.523
0.418 0.750 0.072
0.472 0.250 0.284
0.528 0.750 0.716
0.582 0.250 0.928
0.618 0.750 0.477
0.704 0.750 0.162
0.796 0.250 0.662
0.882 0.250 0.977
0.918 0.750 0.428
0.972 0.250 0.216
```

Results
- SG = Pnma
- crystal system = orthorhombic
- mass density (g/cm³) = 5.40

***

Run b
The following is a PBE-GGA calculation of CaGa2O4 after structural relaxation, from the Materials Project database.

Geometry as POSCAR:
```
CaGa2O4
1.0
8.074 0.000 0.000
0.000 8.938 0.000
-0.910 0.000 10.690
Ca Ga O
8 16 32
Direct
0.001 0.215 0.128
0.001 0.285 0.628
0.463 0.239 0.144
0.463 0.261 0.644
0.537 0.739 0.356
0.537 0.761 0.856
0.999 0.715 0.372
0.999 0.785 0.872
0.175 0.556 0.138
0.175 0.944 0.638
0.235 0.058 0.370
0.235 0.442 0.870
0.291 0.608 0.617
0.291 0.892 0.117
0.301 0.096 0.890
0.301 0.404 0.390
0.699 0.596 0.610
0.699 0.904 0.110
0.709 0.108 0.883
0.709 0.392 0.383
0.765 0.558 0.130
0.765 0.942 0.630
0.825 0.056 0.362
0.825 0.444 0.862
0.028 0.529 0.829
0.028 0.971 0.329
0.138 0.744 0.069
0.138 0.756 0.569
0.209 0.072 0.044
0.209 0.428 0.544
0.233 0.244 0.285
0.233 0.256 0.785
0.274 0.586 0.303
0.274 0.914 0.803
0.278 0.083 0.541
0.278 0.417 0.041
0.369 0.566 0.782
0.369 0.934 0.282
0.488 0.663 0.552
0.488 0.837 0.052
0.512 0.163 0.948
0.512 0.337 0.448
0.631 0.066 0.718
0.631 0.434 0.218
0.722 0.583 0.959
0.722 0.917 0.459
0.726 0.086 0.197
0.726 0.414 0.697
0.767 0.744 0.215
0.767 0.756 0.715
0.791 0.572 0.456
0.791 0.928 0.956
0.862 0.244 0.431
0.862 0.256 0.931
0.972 0.029 0.671
0.972 0.471 0.171
```

Results
- SG = P2_1/c
- crystal system = monoclinic
- mass density (g/cm³) = 4.19

***

Stability ranking, top entry: run b; the second entry is 4.5 kJ/mol of atoms less favorable.

***

Run a
The following is a PBE-GGA calculation of CaGa2S4 after structural relaxation, from the Materials Project database.

Geometry as POSCAR:
```
CaGa2S4
1.0
7.323 0.000 0.000
0.000 27.410 0.000
-2.295 0.000 6.537
Ca Ga S
8 16 32
Direct
0.044 0.193 0.097
0.044 0.307 0.597
0.327 0.571 0.942
0.327 0.929 0.442
0.673 0.071 0.558
0.673 0.429 0.058
0.956 0.693 0.403
0.956 0.807 0.903
0.015 0.064 0.233
0.015 0.436 0.733
0.271 0.052 0.947
0.271 0.448 0.447
0.290 0.150 0.632
0.290 0.350 0.132
0.450 0.734 0.082
0.450 0.766 0.582
0.550 0.234 0.418
0.550 0.266 0.918
0.710 0.650 0.868
0.710 0.850 0.368
0.729 0.552 0.553
0.729 0.948 0.053
0.985 0.564 0.267
0.985 0.936 0.767
0.010 0.597 0.585
0.010 0.903 0.085
0.021 0.630 0.072
0.021 0.870 0.572
0.216 0.514 0.236
0.216 0.986 0.736
0.243 0.747 0.755
0.243 0.753 0.255
0.262 0.221 0.806
0.262 0.279 0.306
0.314 0.029 0.283
0.314 0.471 0.783
0.428 0.157 0.373
0.428 0.343 0.873
0.491 0.099 0.864
0.491 0.401 0.364
0.509 0.599 0.636
0.509 0.901 0.136
0.572 0.657 0.127
0.572 0.843 0.627
0.686 0.529 0.217
0.686 0.971 0.717
0.738 0.721 0.694
0.738 0.779 0.194
0.757 0.247 0.745
0.757 0.253 0.245
0.784 0.014 0.264
0.784 0.486 0.764
0.979 0.130 0.428
0.979 0.370 0.928
0.990 0.097 0.915
0.990 0.403 0.415
```

Results
- SG = P2_1/c
- crystal system = monoclinic
- mass density (g/cm³) = 3.12

***

Run b
The following is a PBE-GGA calculation of CaGa2S4 after structural relaxation, from the Materials Project database.

Geometry as POSCAR:
```
CaGa2S4
1.0
3.016 -5.102 0.000
3.016 5.102 0.000
0.000 0.000 10.242
Ca Ga S
2 4 8
Direct
0.000 0.000 0.250
0.000 0.000 0.750
0.263 0.734 0.000
0.266 0.737 0.500
0.734 0.263 0.500
0.737 0.266 0.000
0.000 0.500 0.170
0.000 0.500 0.830
0.147 0.308 0.500
0.308 0.147 0.000
0.500 0.000 0.330
0.500 0.000 0.670
0.692 0.853 0.000
0.853 0.692 0.500
```

Results
- SG = Cccm
- crystal system = orthorhombic
- mass density (g/cm³) = 3.24

***

Stability ranking, top entry: run a; the second entry is 1.3 kJ/mol of atoms less favorable.

***

Run a
The following is a PBE-GGA calculation of SrCaGdNbO6 after structural relaxation, from the Materials Project database.

Geometry as POSCAR:
```
SrCaGdNbO6
1.0
5.822 0.000 0.000
0.000 5.822 0.000
0.000 0.000 8.531
Sr Ca Gd Nb O
2 2 2 2 12
Direct
0.000 0.500 0.250
0.500 0.000 0.750
0.000 0.500 0.750
0.500 0.000 0.250
0.000 0.000 0.500
0.500 0.500 0.000
0.000 0.000 0.000
0.500 0.500 0.500
0.000 0.000 0.237
0.000 0.000 0.763
0.160 0.307 0.985
0.193 0.340 0.515
0.307 0.840 0.015
0.340 0.807 0.485
0.500 0.500 0.263
0.500 0.500 0.737
0.660 0.193 0.485
0.693 0.160 0.015
0.807 0.660 0.515
0.840 0.693 0.985
```

Results
- SG = P-4n2
- crystal system = tetragonal
- mass density (g/cm³) = 5.44

***

Run b
The following is a PBE-GGA calculation of SrCaGdNbO6 after structural relaxation, from the Materials Project database.

Geometry as POSCAR:
```
SrCaGdNbO6
1.0
0.000 4.234 4.234
4.234 0.000 4.234
4.234 4.234 0.000
Sr Ca Gd Nb O
1 1 1 1 6
Direct
0.000 0.000 0.000
0.500 0.500 0.500
0.250 0.250 0.250
0.750 0.750 0.750
0.513 0.513 0.987
0.513 0.987 0.513
0.513 0.987 0.987
0.987 0.513 0.513
0.987 0.513 0.987
0.987 0.987 0.513
```

Results
- SG = F-43m
- crystal system = cubic
- mass density (g/cm³) = 5.18

***

Stability ranking, top entry: run a; the second entry is 9.6 kJ/mol of atoms less favorable.